## Lu5Pt4 (r2SCAN)

Data for a relaxed structure of Lu5Pt4.

Geometry as CIF:
```
data_Lu5Pt4
_symmetry_space_group_name_H-M 'P n m a'
_symmetry_Int_Tables_number 62
_symmetry_space_group_name_Hall '-P 2ac 2n'
_cell_length_a 7.324
_cell_length_b 14.246
_cell_length_c 7.361
_cell_angle_alpha 90.00
_cell_angle_beta 90.00
_cell_angle_gamma 90.00
loop_
_atom_site_label
_atom_site_type_symbol
_atom_site_fract_x
_atom_site_fract_y
_atom_site_fract_z
Lu1 Lu 0.005 0.092 0.180
Lu2 Lu 0.148 0.623 0.333
Lu3 Lu 0.190 0.250 0.491
Pt1 Pt 0.055 0.250 0.891
Pt2 Pt 0.169 0.750 0.646
Pt3 Pt 0.189 0.040 0.534
```

=====

## Lu2RuPt (r2SCAN)

Data for a relaxed structure of Lu2RuPt.

Geometry as CIF:
```
data_Lu2RuPt
_symmetry_space_group_name_H-M 'F m -3 m'
_symmetry_Int_Tables_number 225
_symmetry_space_group_name_Hall '-F 4 2 3'
_cell_length_a 6.687
_cell_length_b 6.687
_cell_length_c 6.687
_cell_angle_alpha 90.00
_cell_angle_beta 90.00
_cell_angle_gamma 90.00
loop_
_atom_site_label
_atom_site_type_symbol
_atom_site_fract_x
_atom_site_fract_y
_atom_site_fract_z
Lu1 Lu 0.250 0.250 0.250
Ru1 Ru 0.000 0.000 0.000
Pt1 Pt 0.000 0.000 0.500
```

=====

## LuSiPt (r2SCAN)

Data for a relaxed structure of LuSiPt.

Geometry as CIF:
```
data_LuSiPt
_symmetry_space_group_name_H-M 'P n m a'
_symmetry_Int_Tables_number 62
_symmetry_space_group_name_Hall '-P 2ac 2n'
_cell_length_a 6.817
_cell_length_b 4.225
_cell_length_c 7.361
_cell_angle_alpha 90.00
_cell_angle_beta 90.00
_cell_angle_gamma 90.00
loop_
_atom_site_label
_atom_site_type_symbol
_atom_site_fract_x
_atom_site_fract_y
_atom_site_fract_z
Lu1 Lu 0.003 0.250 0.202
Si1 Si 0.190 0.250 0.589
Pt1 Pt 0.202 0.750 0.416
```

=====

## LuSi2Pt2 (r2SCAN)

Data for a relaxed structure of LuSi2Pt2.

Geometry as CIF:
```
data_LuSi2Pt2
_symmetry_space_group_name_H-M 'I 4/m m m'
_symmetry_Int_Tables_number 139
_symmetry_space_group_name_Hall '-I 4 2'
_cell_length_a 4.150
_cell_length_b 4.150
_cell_length_c 9.707
_cell_angle_alpha 90.00
_cell_angle_beta 90.00
_cell_angle_gamma 90.00
loop_
_atom_site_label
_atom_site_type_symbol
_atom_site_fract_x
_atom_site_fract_y
_atom_site_fract_z
Lu1 Lu 0.000 0.000 0.000
Si1 Si 0.000 0.000 0.382
Pt1 Pt 0.000 0.500 0.250
```

=====

## YbLuPt2 (r2SCAN)

Data for a relaxed structure of YbLuPt2.

Geometry as CIF:
```
data_YbLuPt2
_symmetry_space_group_name_H-M 'F m -3 m'
_symmetry_Int_Tables_number 225
_symmetry_space_group_name_Hall '-F 4 2 3'
_cell_length_a 6.808
_cell_length_b 6.808
_cell_length_c 6.808
_cell_angle_alpha 90.00
_cell_angle_beta 90.00
_cell_angle_gamma 90.00
loop_
_atom_site_label
_atom_site_type_symbol
_atom_site_fract_x
_atom_site_fract_y
_atom_site_fract_z
Yb1 Yb 0.000 0.000 0.000
Lu1 Lu 0.000 0.000 0.500
Pt1 Pt 0.250 0.250 0.250
```

=====

## RbLuS2 (r2SCAN)

Data for a relaxed structure of RbLuS2.

Geometry as CIF:
```
data_RbLuS2
_symmetry_space_group_name_H-M 'R -3 m'
_symmetry_Int_Tables_number 166
_symmetry_space_group_name_Hall '-R 3 2"'
_cell_length_a 3.9671
_cell_length_b 3.9671
_cell_length_c 22.8898
_cell_angle_alpha 90.00
_cell_angle_beta 90.00
_cell_angle_gamma 120.00
loop_
_atom_site_label
_atom_site_type_symbol
_atom_site_fract_x
_atom_site_fract_y
_atom_site_fract_z
Rb1 Rb 0.0000 0.0000 0.0000
Lu1 Lu 0.0000 0.0000 0.5000
S1 S 0.0000 0.0000 0.2296
```

=====

## RbLuSe2 (r2SCAN)

Data for a relaxed structure of RbLuSe2.

Geometry as CIF:
```
data_RbLuSe2
_symmetry_space_group_name_H-M 'R -3 m'
_symmetry_Int_Tables_number 166
_symmetry_space_group_name_Hall '-R 3 2"'
_cell_length_a 4.1363
_cell_length_b 4.1363
_cell_length_c 23.7716
_cell_angle_alpha 90.00
_cell_angle_beta 90.00
_cell_angle_gamma 120.00
loop_
_atom_site_label
_atom_site_type_symbol
_atom_site_fract_x
_atom_site_fract_y
_atom_site_fract_z
Rb1 Rb 0.0000 0.0000 0.0000
Lu1 Lu 0.0000 0.0000 0.5000
Se1 Se 0.0000 0.0000 0.2305
```

=====

## LuRh3 (r2SCAN)

Data for a relaxed structure of LuRh3.

Geometry as CIF:
```
data_LuRh3
_symmetry_space_group_name_H-M 'P m -3 m'
_symmetry_Int_Tables_number 221
_symmetry_space_group_name_Hall '-P 4 2 3'
_cell_length_a 3.966
_cell_length_b 3.966
_cell_length_c 3.966
_cell_angle_alpha 90.00
_cell_angle_beta 90.00
_cell_angle_gamma 90.00
loop_
_atom_site_label
_atom_site_type_symbol
_atom_site_fract_x
_atom_site_fract_y
_atom_site_fract_z
Lu1 Lu 0.000 0.000 0.000
Rh1 Rh 0.000 0.500 0.500
```

=====

## LuRh (r2SCAN)

Data for a relaxed structure of LuRh.

Geometry as CIF:
```
data_LuRh
_symmetry_space_group_name_H-M 'P m -3 m'
_symmetry_Int_Tables_number 221
_symmetry_space_group_name_Hall '-P 4 2 3'
_cell_length_a 3.325
_cell_length_b 3.325
_cell_length_c 3.325
_cell_angle_alpha 90.00
_cell_angle_beta 90.00
_cell_angle_gamma 90.00
loop_
_atom_site_label
_atom_site_type_symbol
_atom_site_fract_x
_atom_site_fract_y
_atom_site_fract_z
Lu1 Lu 0.000 0.000 0.000
Rh1 Rh 0.500 0.500 0.500
```

=====

## LuScRh2 (r2SCAN)

Data for a relaxed structure of LuScRh2.

Geometry as CIF:
```
data_LuScRh2
_symmetry_space_group_name_H-M 'F m -3 m'
_symmetry_Int_Tables_number 225
_symmetry_space_group_name_Hall '-F 4 2 3'
_cell_length_a 6.542
_cell_length_b 6.542
_cell_length_c 6.542
_cell_angle_alpha 90.00
_cell_angle_beta 90.00
_cell_angle_gamma 90.00
loop_
_atom_site_label
_atom_site_type_symbol
_atom_site_fract_x
_atom_site_fract_y
_atom_site_fract_z
Lu1 Lu 0.000 0.000 0.000
Sc1 Sc 0.000 0.000 0.500
Rh1 Rh 0.250 0.250 0.250
```

=====

## TbLuRh2 (r2SCAN)

Data for a relaxed structure of TbLuRh2.

Geometry as CIF:
```
data_TbLuRh2
_symmetry_space_group_name_H-M 'F m -3 m'
_symmetry_Int_Tables_number 225
_symmetry_space_group_name_Hall '-F 4 2 3'
_cell_length_a 6.746
_cell_length_b 6.746
_cell_length_c 6.746
_cell_angle_alpha 90.00
_cell_angle_beta 90.00
_cell_angle_gamma 90.00
loop_
_atom_site_label
_atom_site_type_symbol
_atom_site_fract_x
_atom_site_fract_y
_atom_site_fract_z
Tb1 Tb 0.000 0.000 0.000
Lu1 Lu 0.000 0.000 0.500
Rh1 Rh 0.250 0.250 0.250
```

=====

## TmLuRh2 (r2SCAN)

Data for a relaxed structure of TmLuRh2.

Geometry as CIF:
```
data_TmLuRh2
_symmetry_space_group_name_H-M 'F m -3 m'
_symmetry_Int_Tables_number 225
_symmetry_space_group_name_Hall '-F 4 2 3'
_cell_length_a 6.674
_cell_length_b 6.674
_cell_length_c 6.674
_cell_angle_alpha 90.00
_cell_angle_beta 90.00
_cell_angle_gamma 90.00
loop_
_atom_site_label
_atom_site_type_symbol
_atom_site_fract_x
_atom_site_fract_y
_atom_site_fract_z
Tm1 Tm 0.000 0.000 0.000
Lu1 Lu 0.000 0.000 0.500
Rh1 Rh 0.250 0.250 0.250
```

=====

## YbLuRh2 (r2SCAN)

Data for a relaxed structure of YbLuRh2.

Geometry as CIF:
```
data_YbLuRh2
_symmetry_space_group_name_H-M 'F m -3 m'
_symmetry_Int_Tables_number 225
_symmetry_space_group_name_Hall '-F 4 2 3'
_cell_length_a 6.662
_cell_length_b 6.662
_cell_length_c 6.662
_cell_angle_alpha 90.00
_cell_angle_beta 90.00
_cell_angle_gamma 90.00
loop_
_atom_site_label
_atom_site_type_symbol
_atom_site_fract_x
_atom_site_fract_y
_atom_site_fract_z
Yb1 Yb 0.000 0.000 0.000
Lu1 Lu 0.000 0.000 0.500
Rh1 Rh 0.250 0.250 0.250
```

=====

## LuZnRh2 (r2SCAN)

Data for a relaxed structure of LuZnRh2.

Geometry as CIF:
```
data_LuZnRh2
_symmetry_space_group_name_H-M 'F m -3 m'
_symmetry_Int_Tables_number 225
_symmetry_space_group_name_Hall '-F 4 2 3'
_cell_length_a 6.313
_cell_length_b 6.313
_cell_length_c 6.313
_cell_angle_alpha 90.00
_cell_angle_beta 90.00
_cell_angle_gamma 90.00
loop_
_atom_site_label
_atom_site_type_symbol
_atom_site_fract_x
_atom_site_fract_y
_atom_site_fract_z
Lu1 Lu 0.000 0.000 0.000
Zn1 Zn 0.000 0.000 0.500
Rh1 Rh 0.250 0.250 0.250
```

=====

## LuRu (r2SCAN)

Data for a relaxed structure of LuRu.

Geometry as CIF:
```
data_LuRu
_symmetry_space_group_name_H-M 'P m -3 m'
_symmetry_Int_Tables_number 221
_symmetry_space_group_name_Hall '-P 4 2 3'
_cell_length_a 3.306
_cell_length_b 3.306
_cell_length_c 3.306
_cell_angle_alpha 90.00
_cell_angle_beta 90.00
_cell_angle_gamma 90.00
loop_
_atom_site_label
_atom_site_type_symbol
_atom_site_fract_x
_atom_site_fract_y
_atom_site_fract_z
Lu1 Lu 0.000 0.000 0.000
Ru1 Ru 0.500 0.500 0.500
```

=====

## Lu5Ru2 (r2SCAN)

Data for a relaxed structure of Lu5Ru2.

Geometry as CIF:
```
data_Lu5Ru2
_symmetry_space_group_name_H-M 'P -1'
_symmetry_Int_Tables_number 2
_symmetry_space_group_name_Hall '-P 1'
_cell_length_a 6.144
_cell_length_b 7.152
_cell_length_c 8.208
_cell_angle_alpha 83.02
_cell_angle_beta 68.07
_cell_angle_gamma 89.99
loop_
_atom_site_label
_atom_site_type_symbol
_atom_site_fract_x
_atom_site_fract_y
_atom_site_fract_z
Lu1 Lu 0.022 0.086 0.185
Lu2 Lu 0.206 0.683 0.434
Lu3 Lu 0.207 0.414 0.815
Lu4 Lu 0.359 0.183 0.434
Lu5 Lu 0.419 0.750 0.000
Ru1 Ru 0.176 0.423 0.222
Ru2 Ru 0.397 0.077 0.778
```

=====

## LuSbRu2 (r2SCAN)

Data for a relaxed structure of LuSbRu2.

Geometry as CIF:
```
data_LuSbRu2
_symmetry_space_group_name_H-M 'F m -3 m'
_symmetry_Int_Tables_number 225
_symmetry_space_group_name_Hall '-F 4 2 3'
_cell_length_a 6.459
_cell_length_b 6.459
_cell_length_c 6.459
_cell_angle_alpha 90.00
_cell_angle_beta 90.00
_cell_angle_gamma 90.00
loop_
_atom_site_label
_atom_site_type_symbol
_atom_site_fract_x
_atom_site_fract_y
_atom_site_fract_z
Lu1 Lu 0.000 0.000 0.000
Sb1 Sb 0.000 0.000 0.500
Ru1 Ru 0.250 0.250 0.250
```

=====

## LuScRu2 (r2SCAN)

Data for a relaxed structure of LuScRu2.

Geometry as CIF:
```
data_LuScRu2
_symmetry_space_group_name_H-M 'F m -3 m'
_symmetry_Int_Tables_number 225
_symmetry_space_group_name_Hall '-F 4 2 3'
_cell_length_a 6.502
_cell_length_b 6.502
_cell_length_c 6.502
_cell_angle_alpha 90.00
_cell_angle_beta 90.00
_cell_angle_gamma 90.00
loop_
_atom_site_label
_atom_site_type_symbol
_atom_site_fract_x
_atom_site_fract_y
_atom_site_fract_z
Lu1 Lu 0.000 0.000 0.000
Sc1 Sc 0.000 0.000 0.500
Ru1 Ru 0.250 0.250 0.250
```

=====

## Lu2Si5Ru3 (r2SCAN)

Data for a relaxed structure of Lu2Si5Ru3.

Geometry as CIF:
```
data_Lu2Si5Ru3
_symmetry_space_group_name_H-M 'P 4/m n c'
_symmetry_Int_Tables_number 128
_symmetry_space_group_name_Hall '-P 4 2n'
_cell_length_a 10.625
_cell_length_b 10.625
_cell_length_c 5.516
_cell_angle_alpha 90.00
_cell_angle_beta 90.00
_cell_angle_gamma 90.00
loop_
_atom_site_label
_atom_site_type_symbol
_atom_site_fract_x
_atom_site_fract_y
_atom_site_fract_z
Lu1 Lu 0.072 0.237 0.000
Si1 Si 0.000 0.000 0.244
Si2 Si 0.025 0.319 0.500
Si3 Si 0.174 0.674 0.250
Ru1 Ru 0.000 0.500 0.250
Ru2 Ru 0.125 0.856 0.500
```

=====

## LuSnRu2 (r2SCAN)

Data for a relaxed structure of LuSnRu2.

Geometry as CIF:
```
data_LuSnRu2
_symmetry_space_group_name_H-M 'F m -3 m'
_symmetry_Int_Tables_number 225
_symmetry_space_group_name_Hall '-F 4 2 3'
_cell_length_a 6.492
_cell_length_b 6.492
_cell_length_c 6.492
_cell_angle_alpha 90.00
_cell_angle_beta 90.00
_cell_angle_gamma 90.00
loop_
_atom_site_label
_atom_site_type_symbol
_atom_site_fract_x
_atom_site_fract_y
_atom_site_fract_z
Lu1 Lu 0.000 0.000 0.000
Sn1 Sn 0.000 0.000 0.500
Ru1 Ru 0.250 0.250 0.250
```

=====

Respective energy values: -1634.1 -628.5 -409.1 -327.7 -733.0 -229.7 -265.7 -113.1 -64.4 -408.1 -486.2 -502.9 -508.9 -393.9 -64.5 -488.9 -467.9 -409.9 -819.9 -462.3 eV/cell.
Respective formation energy from the elements values: -1.354 -1.016 -1.313 -1.046 -1.415 -2.122 -1.987 -0.645 -1.103 -1.070 -0.990 -1.065 -1.087 -0.801 -0.522 -0.460 -0.585 -0.540 -0.867 -0.477 eV per atom.